# 1
16
Lattice="6.571 0.000 0.000 0.000 5.688 0.000 0.000 0.000 5.368" Properties=species:S:1:pos:R:3 comment="Zn3MoN4 (PBE, relaxed)" volume_a3_per_cell=200.62 formation_enthalpy_0k_ev_per_atom=-0.363 e_ij_max_c_m2=2.3 pbc="T T T"
Zn 0.000 0.944 0.000
Zn 1.633 1.889 2.691
Zn 1.653 3.799 0.007
Zn 3.286 4.744 2.684
Zn 4.919 3.799 0.007
Zn 4.938 1.889 2.691
Mo 0.000 4.719 2.682
Mo 3.286 0.969 5.365
N 0.000 0.809 2.058
N 0.000 4.713 4.553
N 1.555 3.831 2.061
N 1.731 1.857 4.744
N 3.286 0.975 1.870
N 3.286 4.879 4.741
N 4.841 1.857 4.744
N 5.016 3.831 2.061

# 2
8
Lattice="2.941 0.000 0.000 -1.470 2.547 0.000 0.000 0.000 11.548" Properties=species:S:1:pos:R:3 comment="ZnMoN2 (PBE, relaxed)" volume_a3_per_cell=86.47 formation_enthalpy_0k_ev_per_atom=-0.448 pbc="T T T"
Zn 0.000 1.698 0.000
Zn 1.470 0.849 5.774
Mo 0.000 1.698 8.896
Mo 1.470 0.849 3.122
N 0.000 1.698 1.901
N 0.000 1.698 4.459
N 1.470 0.849 7.675
N 1.470 0.849 10.233

# 3
8
Lattice="4.797 0.000 0.000 0.000 4.797 0.000 0.000 0.000 10.078" Properties=species:S:1:pos:R:3 comment="Na3Mo (PBE, relaxed)" volume_a3_per_cell=231.89 formation_enthalpy_0k_ev_per_atom=1.037 pbc="T T T"
Na 0.000 0.000 0.000
Na 0.000 2.398 2.520
Na 0.000 2.398 7.559
Na 2.398 0.000 2.520
Na 2.398 0.000 7.559
Na 2.398 2.398 5.039
Mo 0.000 0.000 5.039
Mo 2.398 2.398 0.000

# 4
74
Lattice="9.814 0.000 0.000 0.000 19.822 0.000 -4.842 0.000 8.588" Properties=species:S:1:pos:R:3 comment="Na3Mo15Se19 (PBE, relaxed)" volume_a3_per_cell=1670.61 formation_enthalpy_0k_ev_per_atom=-0.834 pbc="T T T"
Na -1.146 4.955 2.813
Na 2.492 2.394 1.422
Na 2.492 7.517 1.422
Na 2.480 12.305 7.166
Na 2.480 17.428 7.166
Na 6.118 14.866 5.775
Mo -3.060 11.047 5.660
Mo -3.060 18.686 5.660
Mo -0.850 11.029 4.144
Mo -0.850 18.704 4.144
Mo -1.510 1.132 5.600
Mo -1.510 8.779 5.600
Mo 1.592 14.866 0.176
Mo 0.945 12.572 1.618
Mo 0.945 17.161 1.618
Mo 3.085 12.590 0.055
Mo 3.085 17.143 0.055
Mo 1.761 14.866 2.846
Mo 4.025 14.866 1.343
Mo 3.369 12.575 2.668
Mo 3.369 17.158 2.668
Mo 1.603 2.664 5.920
Mo 1.603 7.247 5.920
Mo 0.947 4.955 7.245
Mo 3.211 4.955 5.742
Mo 1.887 2.679 8.533
Mo 1.887 7.232 8.533
Mo 4.027 2.661 6.970
Mo 4.027 7.250 6.970
Mo 3.379 4.955 8.412
Mo 6.482 11.043 2.988
Mo 6.482 18.690 2.988
Mo 5.821 1.118 4.443
Mo 5.821 8.793 4.443
Mo 8.032 1.136 2.927
Mo 8.032 8.775 2.927
Se -2.340 13.050 4.163
Se -2.340 16.683 4.163
Se -4.212 12.697 7.590
Se -4.212 17.036 7.590
Se -3.654 0.977 7.035
Se -3.654 8.934 7.035
Se -0.534 14.866 1.650
Se 0.579 1.028 4.034
Se 0.579 8.883 4.034
Se -1.051 14.866 7.347
Se -0.668 10.923 6.751
Se -0.668 18.810 6.751
Se 2.459 10.542 1.429
Se 2.459 19.191 1.429
Se 0.877 4.955 4.668
Se 1.245 12.737 4.231
Se 1.245 16.996 4.231
Se -0.530 2.841 7.463
Se -0.530 7.070 7.463
Se 5.502 12.752 1.124
Se 5.502 16.981 1.124
Se 3.727 2.826 4.357
Se 3.727 7.085 4.357
Se 4.095 14.866 3.920
Se 2.513 0.631 7.159
Se 2.513 9.280 7.159
Se 5.640 1.012 1.836
Se 5.640 8.899 1.836
Se 6.023 4.955 1.241
Se 4.393 10.939 4.554
Se 4.393 18.794 4.554
Se 5.506 4.955 6.937
Se 8.626 10.888 1.553
Se 8.626 18.845 1.553
Se 9.184 2.786 0.998
Se 9.184 7.125 0.998
Se 7.312 3.139 4.424
Se 7.312 6.772 4.424

# 5
72
Lattice="4.878 2.816 19.608 -4.878 2.816 19.608 0.000 -5.633 19.608" Properties=species:S:1:pos:R:3 comment="Na2Mo15Se19 (PBE, relaxed)" volume_a3_per_cell=1616.40 formation_enthalpy_0k_ev_per_atom=-0.815 pbc="T T T"
Na 0.000 0.000 6.699
Na 0.000 0.000 22.713
Na 0.000 0.000 36.112
Na 0.000 0.000 52.125
Mo -0.608 -4.207 18.459
Mo -1.527 -0.118 12.408
Mo -0.776 -1.345 14.706
Mo -3.340 2.630 18.459
Mo -1.527 0.118 17.004
Mo -3.948 -1.577 40.365
Mo 0.866 -1.264 12.408
Mo -0.776 1.345 14.706
Mo 0.661 -1.382 17.004
Mo -1.538 -0.186 28.263
Mo 0.661 1.382 12.408
Mo -0.608 -1.426 30.561
Mo 1.553 0.000 14.706
Mo 0.866 1.264 17.004
Mo -0.931 1.239 30.561
Mo 0.931 -1.239 28.263
Mo -0.866 -1.264 41.820
Mo -1.553 0.000 44.118
Mo 0.608 1.426 28.263
Mo -0.661 -1.382 46.416
Mo 1.538 0.186 30.561
Mo -0.661 1.382 41.820
Mo 0.776 -1.345 44.118
Mo -0.866 1.264 46.416
Mo 3.948 1.577 18.459
Mo 1.527 -0.118 41.820
Mo 3.340 -2.630 40.365
Mo 0.776 1.345 44.118
Mo 1.527 0.118 46.416
Mo 0.608 4.207 40.365
Se -3.130 -0.335 22.423
Se 0.000 0.000 3.192
Se -1.197 -2.873 20.576
Se -1.870 -2.816 24.510
Se -3.603 -0.061 26.597
Se 0.000 0.000 10.367
Se -1.749 -3.151 32.227
Se -2.989 -0.343 30.380
Se -1.197 -2.760 28.444
Se -3.374 0.211 34.314
Se -1.890 2.474 20.576
Se -3.087 -0.400 38.248
Se -1.275 -2.878 36.401
Se 0.000 0.000 19.045
Se 1.855 -2.543 22.423
Se -1.504 3.028 24.510
Se -1.791 2.417 28.444
Se 0.000 0.000 26.221
Se 1.855 -3.090 26.597
Se -1.855 3.090 32.227
Se 0.000 0.000 32.604
Se 1.791 -2.417 30.380
Se 1.504 -3.028 34.314
Se -1.855 2.543 36.401
Se 0.000 0.000 39.779
Se 1.275 2.878 22.423
Se 3.087 0.400 20.576
Se 1.890 -2.474 38.248
Se 3.374 -0.211 24.510
Se 1.197 2.760 30.380
Se 2.989 0.343 28.444
Se 1.749 3.151 26.597
Se 0.000 0.000 48.457
Se 3.603 0.061 32.227
Se 1.870 2.816 34.314
Se 1.197 2.873 38.248
Se 0.000 0.000 55.633
Se 3.130 0.335 36.401

# 6
14
Lattice="9.343 0.000 0.000 -4.672 8.092 0.000 0.000 0.000 4.626" Properties=species:S:1:pos:R:3 comment="NaTe3Mo3 (PBE, relaxed)" de_polymorph_kcal_per_mol_atoms=0.00 volume_a3_per_cell=349.77 formation_enthalpy_0k_ev_per_atom=-0.407 pbc="T T T"
Na 0.000 5.394 1.157
Na 4.672 2.697 3.470
Te -2.482 5.661 3.470
Te 1.010 3.112 3.470
Te 3.200 0.681 1.157
Te 1.472 7.410 3.470
Te 3.662 4.980 1.157
Te 7.154 2.430 1.157
Mo -3.630 6.959 1.157
Mo 0.460 1.469 1.157
Mo 1.502 0.336 3.470
Mo 3.170 7.755 1.157
Mo 4.212 6.623 3.470
Mo 8.301 1.132 3.470